Record 1
ZnAu2C4N4: optimized geometry, GGA-PBE.

It has space group P6_222 (No. 180), with a = 8.5161 Å, b = 8.5161 Å, c = 20.9004 Å, α = 90.00°, β = 90.00° and γ = 120.00°. The distinct sites, in fractional coordinates, are Zn at (0.0000, 0.5000, 0.0419), Au at (0.0058, 0.3193, 0.5392), C at (0.1795, 0.4028, 0.8633), C at (0.1840, 0.3935, 0.6107), N at (0.1428, 0.4341, 0.3487) and N at (0.1578, 0.4470, 0.0967).

As for the calculated volume: 19.889 Å³ per atom. Its energy of formation is 0.11 eV/atom. The value obtained for the distance to the lowest polymorph of the same formula is 4 meV per atom.

***

Record 2
RbAuC2: optimized geometry, GGA-PBE.

It has space group P4/mmm (No. 123), with a = 4.581 Å, b = 4.581 Å, c = 5.242 Å, α = 90.00°, β = 90.00° and γ = 90.00°. The distinct sites, in fractional coordinates, are Rb at (0.000, 0.000, 0.000), Au at (0.500, 0.500, 0.500) and C at (0.500, 0.500, 0.119).

As for the calculated volume: 27.500 Å³ per atom. Its energy of formation is 0.18 eV/atom.

***

Record 3
Ca5Au3: optimized geometry, GGA-PBE.

It has space group I4/mcm (No. 140), with a = 7.883 Å, b = 7.883 Å, c = 14.641 Å, α = 90.00°, β = 90.00° and γ = 90.00°. The distinct sites, in fractional coordinates, are Ca at (0.000, 0.000, 0.000), Ca at (0.169, 0.331, 0.144), Au at (0.000, 0.000, 0.250) and Au at (0.130, 0.370, 0.500).

As for the calculated volume: 28.429 Å³ per atom. Its energy of formation is -0.69 eV/atom.

***

Record 4
Ca3Au: optimized geometry, GGA-PBE.

It has space group Pnma (No. 62), with a = 7.862 Å, b = 9.917 Å, c = 6.817 Å, α = 90.00°, β = 90.00° and γ = 90.00°. The distinct sites, in fractional coordinates, are Ca at (0.036, 0.250, 0.144), Ca at (0.175, 0.064, 0.663) and Au at (0.122, 0.750, 0.450).

As for the calculated volume: 33.218 Å³ per atom. Its energy of formation is -0.48 eV/atom.